An optimized crystal structure of La2MgCuO4, computed with PBE.

Structure (POSCAR):
```
La2MgCuO4
1.0
-3.018 2.759 0.345
-1.776 -1.521 -3.373
-1.508 -5.418 5.735
La Mg Cu O
2 1 1 4
Direct
0.634 0.634 0.268
0.404 0.404 0.807
0.204 0.204 0.407
0.024 0.024 0.048
0.478 0.978 0.956
0.978 0.478 0.956
0.223 0.723 0.446
0.723 0.223 0.446
```

Space-group type: No. 107
Energy above the lowest structure with this stoichiometry in meV per atom: 0



An optimized crystal structure of ScB12, computed with PBE.

Structure (POSCAR):
```
ScB12
1.0
-1.658 -4.968 0.181
-5.130 -1.043 0.241
-2.444 -2.099 -4.134
Sc B
1 12
Direct
0.000 0.000 0.000
0.500 0.161 0.500
0.500 0.839 0.500
0.839 0.500 0.500
0.500 0.839 0.161
0.161 0.500 0.839
0.839 0.500 0.161
0.500 0.500 0.839
0.161 0.839 0.500
0.500 0.161 0.839
0.500 0.500 0.161
0.839 0.161 0.500
0.161 0.500 0.500
```

Space-group type: No. 225



An optimized crystal structure of NaHf2Nb2SiP5O24, computed with PBE.

Structure (POSCAR):
```
NaHf2Nb2SiP5O24
1.0
-5.998 6.024 -2.495
-2.246 -8.561 0.468
-6.305 2.859 21.933
Na Hf Nb Si P O
3 6 6 3 15 72
Direct
0.000 0.998 0.999
0.667 0.333 0.832
0.667 0.333 0.335
0.000 0.998 0.855
0.001 0.002 0.147
0.666 0.334 0.686
0.667 0.334 0.480
0.333 0.667 0.522
0.331 0.665 0.311
0.998 0.004 0.357
0.001 0.000 0.643
0.669 0.334 0.190
0.664 0.334 0.977
0.337 0.672 0.023
0.339 0.671 0.810
0.002 0.288 0.250
0.619 0.669 0.917
0.332 0.951 0.917
0.286 0.000 0.250
0.714 0.715 0.250
0.287 0.287 0.750
0.000 0.712 0.750
0.715 0.002 0.750
0.956 0.334 0.584
0.379 0.044 0.584
0.666 0.622 0.584
0.953 0.619 0.083
0.668 0.048 0.083
0.380 0.333 0.083
0.050 0.384 0.917
0.620 0.955 0.416
0.335 0.380 0.416
0.045 0.667 0.416
0.202 0.033 0.304
0.831 0.796 0.304
0.966 0.160 0.307
0.205 0.175 0.804
0.970 0.795 0.804
0.824 0.030 0.804
0.801 0.973 0.695
0.172 0.198 0.696
0.027 0.828 0.696
0.798 0.821 0.195
0.026 0.198 0.193
0.177 0.972 0.195
0.870 0.360 0.638
0.490 0.130 0.638
0.639 0.510 0.638
0.863 0.504 0.137
0.639 0.135 0.137
0.495 0.360 0.137
0.472 0.308 0.029
0.837 0.528 0.029
0.693 0.163 0.029
0.458 0.160 0.530
0.702 0.542 0.530
0.840 0.298 0.530
0.522 0.690 0.974
0.161 0.468 0.972
0.306 0.831 0.974
0.540 0.843 0.471
0.302 0.458 0.471
0.156 0.697 0.471
0.128 0.637 0.362
0.511 0.874 0.362
0.364 0.491 0.362
0.130 0.496 0.862
0.364 0.860 0.860
0.496 0.633 0.859
0.024 0.829 0.405
0.804 0.973 0.407
0.172 0.195 0.406
0.026 0.201 0.910
0.167 0.979 0.911
0.810 0.838 0.911
0.975 0.169 0.595
0.195 0.025 0.595
0.831 0.805 0.595
0.973 0.800 0.089
0.827 0.024 0.089
0.199 0.169 0.088
0.688 0.160 0.742
0.471 0.311 0.742
0.839 0.529 0.742
0.693 0.528 0.241
0.824 0.306 0.241
0.470 0.168 0.241
0.640 0.495 0.926
0.865 0.363 0.926
0.508 0.143 0.926
0.648 0.141 0.424
0.494 0.353 0.424
0.860 0.506 0.424
0.361 0.495 0.073
0.132 0.633 0.074
0.503 0.867 0.075
0.353 0.863 0.574
0.510 0.647 0.574
0.137 0.490 0.574
0.314 0.847 0.260
0.534 0.691 0.260
0.164 0.478 0.260
0.303 0.468 0.759
0.162 0.693 0.759
0.531 0.836 0.758
```

Space-group type: No. 1



An optimized crystal structure of Te6Mo3WSe2, computed with PBE.

Structure (POSCAR):
```
Te6Mo3WSe2
1.0
1.748 -3.028 0.000
1.748 3.028 0.000
0.000 0.000 39.641
Te Mo W Se
6 3 1 2
Direct
0.333 0.667 0.328
0.667 0.333 0.048
0.667 0.333 0.423
0.667 0.333 0.140
0.667 0.333 0.516
0.333 0.667 0.236
0.333 0.667 0.094
0.333 0.667 0.470
0.667 0.333 0.282
0.667 0.333 0.658
0.333 0.667 0.698
0.333 0.667 0.617
```

Space-group type: No. 156
Energy above the lowest structure with this stoichiometry in meV per atom: 0



An optimized crystal structure of Rb2PdS8O26, computed with PBE.

Structure (POSCAR):
```
Rb2PdS8O26
1.0
-7.722 0.000 0.000
2.637 8.457 0.000
-0.177 -3.013 -9.043
Rb Pd S O
2 1 8 26
Direct
0.132 0.270 0.884
0.868 0.730 0.116
0.500 0.500 0.500
0.670 0.360 0.708
0.330 0.640 0.292
0.876 0.191 0.483
0.124 0.809 0.517
0.389 0.152 0.226
0.611 0.848 0.774
0.788 0.222 0.197
0.212 0.778 0.803
0.700 0.186 0.572
0.300 0.814 0.428
0.700 0.485 0.627
0.300 0.515 0.373
0.814 0.410 0.822
0.186 0.590 0.178
0.848 0.299 0.376
0.152 0.701 0.624
0.037 0.296 0.575
0.963 0.704 0.425
0.486 0.291 0.737
0.514 0.709 0.263
0.854 0.023 0.395
0.146 0.977 0.605
0.424 0.247 0.386
0.576 0.753 0.614
0.594 0.095 0.187
0.406 0.905 0.813
0.783 0.366 0.161
0.217 0.634 0.839
0.906 0.128 0.128
0.094 0.872 0.872
0.380 0.245 0.128
0.620 0.755 0.872
0.266 0.987 0.199
0.734 0.013 0.801
```

Space-group type: No. 2



An optimized crystal structure of CeIr3, computed with PBE.

Structure (POSCAR):
```
CeIr3
1.0
2.668 -4.620 0.000
2.668 4.620 0.000
0.000 0.000 17.687
Ce Ir
6 18
Direct
0.333 0.667 0.958
0.667 0.333 0.042
0.667 0.333 0.458
0.333 0.667 0.542
0.333 0.667 0.750
0.667 0.333 0.250
0.167 0.833 0.373
0.167 0.335 0.373
0.665 0.833 0.373
0.833 0.167 0.627
0.833 0.665 0.627
0.335 0.167 0.627
0.833 0.167 0.873
0.833 0.665 0.873
0.335 0.167 0.873
0.167 0.833 0.127
0.167 0.335 0.127
0.665 0.833 0.127
0.333 0.667 0.250
0.667 0.333 0.750
0.000 0.000 0.250
0.000 0.000 0.750
0.000 0.000 0.500
0.000 0.000 0.000
```

Space-group type: No. 194



An optimized crystal structure of Hf3Cu4Ge2, computed with PBE.

Structure (POSCAR):
```
Hf3Cu4Ge2
1.0
1.570 0.255 -3.664
5.364 2.448 2.469
-0.601 -6.325 -0.698
Hf Cu Ge
3 4 2
Direct
0.500 0.411 0.000
0.500 0.589 0.589
0.500 0.000 0.411
0.500 0.000 0.000
0.000 0.000 0.760
0.000 0.240 0.240
0.000 0.760 0.000
0.000 0.667 0.333
0.000 0.333 0.667
```

Space-group type: No. 189



An optimized crystal structure of Er3Pb, computed with PBE.

Structure (POSCAR):
```
Er3Pb
1.0
0.387 -3.847 4.870
3.848 1.751 4.560
-4.589 2.658 -3.247
Er Pb
3 1
Direct
0.750 0.250 0.500
0.250 0.750 0.500
0.500 0.500 0.000
0.000 0.000 0.000
```

Space-group type: No. 139



An optimized crystal structure of Ba3Li4As4, computed with PBE.

Structure (POSCAR):
```
Ba3Li4As4
1.0
-2.373 3.629 7.910
2.373 -3.629 7.910
2.373 3.629 -7.910
Ba Li As
3 4 4
Direct
0.631 0.131 0.500
0.369 0.869 0.500
0.000 0.000 0.000
0.983 0.678 0.306
0.017 0.322 0.694
0.628 0.322 0.306
0.372 0.678 0.694
0.326 0.500 0.826
0.787 0.787 0.000
0.213 0.213 0.000
0.674 0.500 0.174
```

Space-group type: No. 71



An optimized crystal structure of NaCaCeSbO6, computed with PBE.

Structure (POSCAR):
```
NaCaCeSbO6
1.0
5.374 2.372 0.799
3.436 1.200 -4.680
1.019 5.627 -1.565
Na Ca Ce Sb O
1 1 1 1 6
Direct
0.250 0.250 0.250
0.750 0.750 0.750
0.000 0.000 0.000
0.500 0.500 0.500
0.738 0.262 0.262
0.262 0.738 0.738
0.738 0.262 0.738
0.262 0.738 0.262
0.738 0.738 0.262
0.262 0.262 0.738
```

Space-group type: No. 216



An optimized crystal structure of Ho2Be2SiO7, computed with PBE.

Structure (POSCAR):
```
Ho2Be2SiO7
1.0
-1.068 3.722 6.204
-6.986 -2.161 0.093
1.229 -3.863 2.529
Ho Be Si O
4 4 2 14
Direct
0.841 0.659 0.492
0.341 0.841 0.508
0.659 0.159 0.508
0.159 0.341 0.492
0.137 0.637 0.959
0.637 0.863 0.041
0.863 0.363 0.959
0.363 0.137 0.041
0.500 0.500 0.000
0.000 0.000 0.000
0.859 0.359 0.292
0.359 0.141 0.708
0.141 0.641 0.292
0.641 0.859 0.708
0.500 0.000 0.184
0.000 0.500 0.816
0.082 0.837 0.799
0.163 0.082 0.201
0.837 0.918 0.201
0.918 0.163 0.799
0.582 0.663 0.201
0.418 0.337 0.201
0.337 0.582 0.799
0.663 0.418 0.799
```

Space-group type: No. 113



An optimized crystal structure of CaMg6ZnO8, computed with PBE.

Structure (POSCAR):
```
CaMg6ZnO8
1.0
8.630 0.000 0.000
0.000 4.393 0.000
0.000 0.000 4.393
Ca Mg Zn O
1 6 1 8
Direct
0.000 0.000 0.000
0.000 0.500 0.500
0.500 0.500 0.500
0.257 0.000 0.500
0.743 0.000 0.500
0.257 0.500 0.000
0.743 0.500 0.000
0.500 0.000 0.000
0.263 0.000 0.000
0.737 0.000 0.000
0.251 0.500 0.500
0.749 0.500 0.500
0.000 0.000 0.500
0.500 0.000 0.500
0.000 0.500 0.000
0.500 0.500 0.000
```

Space-group type: No. 123
Energy above the lowest structure with this stoichiometry in meV per atom: 5



An optimized crystal structure of Na2PdF4, computed with PBE.

Structure (POSCAR):
```
Na2PdF4
1.0
5.668 0.000 0.000
0.000 3.498 0.000
0.000 0.927 10.205
Na Pd F
4 2 8
Direct
0.044 0.718 0.349
0.544 0.282 0.151
0.956 0.282 0.651
0.456 0.718 0.849
0.500 0.000 0.500
0.000 0.000 0.000
0.678 0.791 0.661
0.178 0.209 0.839
0.322 0.209 0.339
0.822 0.791 0.161
0.806 0.209 0.426
0.306 0.791 0.074
0.694 0.209 0.926
0.194 0.791 0.574
```

Space-group type: No. 14



An optimized crystal structure of Cs3HS2F12, computed with PBE.

Structure (POSCAR):
```
Cs3HS2F12
1.0
6.652 0.000 0.000
0.000 10.210 0.000
0.000 0.000 10.802
Cs H S F
6 2 4 24
Direct
0.996 0.500 0.500
0.996 0.000 0.000
0.500 0.303 0.199
0.500 0.197 0.699
0.500 0.697 0.801
0.500 0.803 0.301
0.509 0.500 0.500
0.509 0.000 0.000
0.001 0.115 0.384
0.001 0.385 0.884
0.001 0.885 0.616
0.001 0.615 0.116
0.812 0.041 0.298
0.812 0.459 0.798
0.812 0.959 0.702
0.812 0.541 0.202
0.196 0.710 0.043
0.196 0.790 0.543
0.196 0.290 0.957
0.196 0.210 0.457
0.814 0.214 0.459
0.814 0.286 0.959
0.814 0.786 0.541
0.814 0.714 0.041
0.181 0.539 0.209
0.181 0.961 0.709
0.181 0.461 0.791
0.181 0.039 0.291
0.000 0.229 0.279
0.000 0.271 0.779
0.000 0.771 0.721
0.000 0.729 0.221
0.511 0.021 0.104
0.511 0.479 0.604
0.511 0.979 0.896
0.511 0.521 0.396
```

Space-group type: No. 32



| no. | energy of formation (eV per atom) |
| --- | --- |
| 1 | -2.500 |
| 2 | -0.211 |
| 3 | -3.105 |
| 4 | -0.402 |
| 5 | -1.737 |
| 6 | -0.634 |
| 7 | -0.435 |
| 8 | -0.250 |
| 9 | -0.928 |
| 10 | -2.732 |
| 11 | -3.589 |
| 12 | -2.844 |
| 13 | -2.367 |
| 14 | -2.359 |